# 1
DFT (PBE-GGA) results for a relaxed YZr6P9O36 crystal.

Output
Volume: 15.3 A^3/atom
E: -856.6 eV per cell
Total magnetic moment: 0.05 μB/cell
Space-group type: P-3c1
E_form: -3239 meV/atom

Cell: 8.9498 8.9498 22.9651 Å, 90.00 90.00 120.00°
With the nearest neighbours (Å) after each atom.
Atoms (fractional coordinates):
1 Y 0.0000 0.0000 0.0000  6 O 2.38
2 Y 0.0000 0.0000 0.5000  6 O 2.38
3 Zr 0.0000 0.0000 0.1495  6 O 2.02-2.24
4 Zr 0.0000 0.0000 0.3505  6 O 2.02-2.24
5 Zr 0.0000 0.0000 0.6495  6 O 2.02-2.24
6 Zr 0.0000 0.0000 0.8505  6 O 2.02-2.24
7 Zr 0.3333 0.6667 0.0283  6 O 2.07-2.12
8 Zr 0.3333 0.6667 0.3131  6 O 2.07-2.12
9 Zr 0.3333 0.6667 0.5283  6 O 2.07-2.12
10 Zr 0.3333 0.6667 0.8131  6 O 2.07-2.12
11 Zr 0.6667 0.3333 0.1869  6 O 2.07-2.12
12 Zr 0.6667 0.3333 0.4717  6 O 2.07-2.12
13 Zr 0.6667 0.3333 0.6869  6 O 2.07-2.12
14 Zr 0.6667 0.3333 0.9717  6 O 2.07-2.12
15 P 0.0000 0.2917 0.2500  4 O 1.52-1.56
16 P 0.0000 0.7083 0.7500  4 O 1.52-1.56
17 P 0.0545 0.3732 0.9211  4 O 1.53-1.59
18 P 0.0545 0.6813 0.4211  4 O 1.53-1.59
19 P 0.2917 0.0000 0.2500  4 O 1.52-1.56
20 P 0.2917 0.2917 0.7500  4 O 1.52-1.56
21 P 0.3187 0.3732 0.4211  4 O 1.53-1.59
22 P 0.3187 0.9455 0.9211  4 O 1.53-1.59
23 P 0.3732 0.0545 0.5789  4 O 1.53-1.59
24 P 0.3732 0.3187 0.0789  4 O 1.53-1.59
25 P 0.6268 0.6813 0.9211  4 O 1.53-1.59
26 P 0.6268 0.9455 0.4211  4 O 1.53-1.59
27 P 0.6813 0.0545 0.0789  4 O 1.53-1.59
28 P 0.6813 0.6268 0.5789  4 O 1.53-1.59
29 P 0.7083 0.0000 0.7500  4 O 1.52-1.56
30 P 0.7083 0.7083 0.2500  4 O 1.52-1.56
31 P 0.9455 0.3187 0.5789  4 O 1.53-1.59
32 P 0.9455 0.6268 0.0789  4 O 1.53-1.59
33 O 0.0089 0.1769 0.9214  1 P 1.59
34 O 0.0089 0.8320 0.4214  1 P 1.59
35 O 0.0308 0.2048 0.1959  1 P 1.56
36 O 0.0308 0.8260 0.6959  1 P 1.56
37 O 0.1160 0.4914 0.5742  1 P 1.54
38 O 0.1160 0.6246 0.0742  1 P 1.54
39 O 0.1464 0.4604 0.8643  1 P 1.53
40 O 0.1464 0.6860 0.3643  1 P 1.53
41 O 0.1590 0.4681 0.2601  1 P 1.52
42 O 0.1590 0.6909 0.7601  1 P 1.52
43 O 0.1680 0.1769 0.4214  1 P 1.59
44 O 0.1680 0.9911 0.9214  1 P 1.59
45 O 0.1726 0.4554 0.9738  1 P 1.53
46 O 0.1726 0.7172 0.4738  1 P 1.53
47 O 0.1740 0.2048 0.6959  1 P 1.56
48 O 0.1740 0.9692 0.1959  1 P 1.56
49 O 0.1769 0.0089 0.5786  1 P 1.59
50 O 0.1769 0.1680 0.0786  1 P 1.59
51 O 0.2048 0.0308 0.3041  1 P 1.56
52 O 0.2048 0.1740 0.8041  1 P 1.56
53 O 0.2828 0.4554 0.4738  1 P 1.53
54 O 0.2828 0.8274 0.9738  1 P 1.53
55 O 0.3091 0.4681 0.7601  1 P 1.52
56 O 0.3091 0.8410 0.2601  1 P 1.52
57 O 0.3140 0.4604 0.3643  1 P 1.53
58 O 0.3140 0.8536 0.8643  1 P 1.53
59 O 0.3754 0.4914 0.0742  1 P 1.54
60 O 0.3754 0.8840 0.5742  1 P 1.54
61 O 0.4554 0.1726 0.5262  1 P 1.53
62 O 0.4554 0.2828 0.0262  1 P 1.53
63 O 0.4604 0.1464 0.6357  1 P 1.53
64 O 0.4604 0.3140 0.1357  1 P 1.53
65 O 0.4681 0.1590 0.2399  1 P 1.52
66 O 0.4681 0.3091 0.7399  1 P 1.52
67 O 0.4914 0.1160 0.9258  1 P 1.54
68 O 0.4914 0.3754 0.4258  1 P 1.54
69 O 0.5086 0.6246 0.5742  1 P 1.54
70 O 0.5086 0.8840 0.0742  1 P 1.54
71 O 0.5319 0.6909 0.2601  1 P 1.52
72 O 0.5319 0.8410 0.7601  1 P 1.52
73 O 0.5396 0.6860 0.8643  1 P 1.53
74 O 0.5396 0.8536 0.3643  1 P 1.53
75 O 0.5446 0.7172 0.9738  1 P 1.53
76 O 0.5446 0.8274 0.4738  1 P 1.53
77 O 0.6246 0.1160 0.4258  1 P 1.54
78 O 0.6246 0.5086 0.9258  1 P 1.54
79 O 0.6860 0.1464 0.1357  1 P 1.53
80 O 0.6860 0.5396 0.6357  1 P 1.53
81 O 0.6909 0.1590 0.7399  1 P 1.52
82 O 0.6909 0.5319 0.2399  1 P 1.52
83 O 0.7172 0.1726 0.0262  1 P 1.53
84 O 0.7172 0.5446 0.5262  1 P 1.53
85 O 0.7952 0.8260 0.1959  1 P 1.56
86 O 0.7952 0.9692 0.6959  1 P 1.56
87 O 0.8231 0.8320 0.9214  1 P 1.59
88 O 0.8231 0.9911 0.4214  1 P 1.59
89 O 0.8260 0.0308 0.8041  1 P 1.56
90 O 0.8260 0.7952 0.3041  1 P 1.56
91 O 0.8274 0.2828 0.5262  1 P 1.53
92 O 0.8274 0.5446 0.0262  1 P 1.53
93 O 0.8320 0.0089 0.0786  1 P 1.59
94 O 0.8320 0.8231 0.5786  1 P 1.59
95 O 0.8410 0.3091 0.2399  1 P 1.52
96 O 0.8410 0.5319 0.7399  1 P 1.52
97 O 0.8536 0.3140 0.6357  1 P 1.53
98 O 0.8536 0.5396 0.1357  1 P 1.53
99 O 0.8840 0.3754 0.9258  1 P 1.54
100 O 0.8840 0.5086 0.4258  1 P 1.54
101 O 0.9692 0.1740 0.3041  1 P 1.56
102 O 0.9692 0.7952 0.8041  1 P 1.56
103 O 0.9911 0.1680 0.5786  1 P 1.59
104 O 0.9911 0.8231 0.0786  1 P 1.59

***

# 2
DFT (PBE-GGA) results for a relaxed Zn4P2O13 crystal.

Output
Volume: 14.2 A^3/atom
E: -207.2 eV per cell
Total magnetic moment: 4.00 μB/cell
Space-group type: P2/c
E_form: -1233 meV/atom

Cell: 10.4637 5.2988 11.4312 Å, 90.00 121.35 90.00°
With the nearest neighbours (Å) after each atom.
Atoms (fractional coordinates):
1 Zn 0.0000 0.0000 0.0000  6 O 2.01-2.20
2 Zn 0.0000 0.0000 0.5000  6 O 2.01-2.20
3 Zn 0.0000 0.0474 0.2500  4 O 1.99-2.09
4 Zn 0.0000 0.9526 0.7500  4 O 1.99-2.09
5 Zn 0.2881 0.3036 0.0015  3 O 1.91-1.92
6 Zn 0.2881 0.6964 0.5015  3 O 1.91-1.92
7 Zn 0.7119 0.3036 0.4985  3 O 1.91-1.92
8 Zn 0.7119 0.6964 0.9985  3 O 1.91-1.92
9 P 0.1923 0.4824 0.7062  4 O 1.54-1.57
10 P 0.1923 0.5176 0.2062  4 O 1.54-1.57
11 P 0.8077 0.4824 0.7938  4 O 1.54-1.57
12 P 0.8077 0.5176 0.2938  4 O 1.54-1.57
13 O 0.0872 0.2857 0.1633  1 P 1.55
14 O 0.0872 0.7143 0.6633  1 P 1.55
15 O 0.0986 0.2322 0.6692  1 P 1.57
16 O 0.0986 0.7678 0.1692  1 P 1.57
17 O 0.1536 0.0218 0.9450  3 Zn 1.92-2.01
18 O 0.1536 0.9782 0.4450  3 Zn 1.92-2.01
19 O 0.2769 0.4787 0.6293  1 P 1.54
20 O 0.2769 0.5213 0.1293  1 P 1.54
21 O 0.3028 0.4780 0.8628  1 P 1.55
22 O 0.3028 0.5220 0.3628  1 P 1.55
23 O 0.4916 0.1016 0.1483  1 O 1.32
24 O 0.4916 0.8984 0.6483  1 O 1.32
25 O 0.5000 0.0286 0.7500  2 O 1.32
26 O 0.5000 0.9714 0.2500  2 O 1.32
27 O 0.5084 0.1016 0.3517  1 O 1.32
28 O 0.5084 0.8984 0.8517  1 O 1.32
29 O 0.6972 0.4780 0.6372  1 P 1.55
30 O 0.6972 0.5220 0.1372  1 P 1.55
31 O 0.7231 0.4787 0.8707  1 P 1.54
32 O 0.7231 0.5213 0.3707  1 P 1.54
33 O 0.8464 0.0218 0.5550  3 Zn 1.92-2.01
34 O 0.8464 0.9782 0.0550  3 Zn 1.92-2.01
35 O 0.9014 0.2322 0.8308  1 P 1.57
36 O 0.9014 0.7678 0.3308  1 P 1.57
37 O 0.9128 0.2857 0.3367  1 P 1.55
38 O 0.9128 0.7143 0.8367  1 P 1.55